1.
VASP calculation (PBE) on BaSrSmNbO6 after structural relaxation.

Geometry as POSCAR:
```
BaSrSmNbO6
1.0
8.531 0.000 0.000
0.000 8.537 0.000
0.000 0.000 8.539
Ba Sr Sm Nb O
4 4 4 4 24
Direct
0.000 0.000 0.000 Ba
0.000 0.000 0.500 Ba
0.000 0.500 0.000 Ba
0.500 0.500 0.500 Ba
0.000 0.500 0.500 Sr
0.500 0.000 0.000 Sr
0.500 0.000 0.500 Sr
0.500 0.500 0.000 Sr
0.252 0.250 0.252 Sm
0.252 0.750 0.748 Sm
0.748 0.250 0.748 Sm
0.748 0.750 0.252 Sm
0.253 0.251 0.750 Nb
0.253 0.749 0.250 Nb
0.747 0.251 0.250 Nb
0.747 0.749 0.750 Nb
0.018 0.222 0.726 O
0.018 0.778 0.274 O
0.220 0.483 0.709 O
0.220 0.517 0.291 O
0.225 0.278 0.984 O
0.225 0.722 0.016 O
0.285 0.017 0.782 O
0.285 0.983 0.218 O
0.290 0.214 0.519 O
0.290 0.786 0.481 O
0.483 0.294 0.783 O
0.483 0.706 0.217 O
0.517 0.294 0.217 O
0.517 0.706 0.783 O
0.710 0.214 0.481 O
0.710 0.786 0.519 O
0.715 0.017 0.218 O
0.715 0.983 0.782 O
0.775 0.278 0.016 O
0.775 0.722 0.984 O
0.780 0.483 0.291 O
0.780 0.517 0.709 O
0.982 0.222 0.274 O
0.982 0.778 0.726 O
```

Results
**Distance to the lowest polymorph of the same formula**: 0 meV/atom
**Symmetry**: P222, No. 16

2.
VASP calculation (PBE) on Sb2Ru after structural relaxation.

Geometry as POSCAR:
```
Sb2Ru
1.0
6.027 0.000 0.000
0.000 6.743 0.000
0.000 0.000 3.223
Sb Ru
4 2
Direct
0.183 0.142 0.000 Sb
0.317 0.642 0.500 Sb
0.683 0.358 0.500 Sb
0.817 0.858 0.000 Sb
0.000 0.500 0.000 Ru
0.500 0.000 0.500 Ru
```

Results
**VASP energy**: -6.0979 eV/atom
**Symmetry**: Pnnm, No. 58

Ρ (g/cm3)
6.03; 8.74